Record 1
PBE MgCd2Cu4O6, relaxed; mass density = 6.0 g/cm3; energy above the most stable polymorph in this dataset = 1.16 eV/f.u.; symmetry = Pmm2 (25)
1.0
4.346 0.000 0.000
0.000 9.950 0.000
0.000 0.000 3.841
Mg Cu O Cd
1 4 6 2
Cartesian
3.260 2.487 0.334
3.260 9.940 2.616
3.260 4.985 2.616
1.087 5.580 0.575
1.087 9.345 0.575
1.087 7.462 1.074
3.260 5.393 0.688
1.087 3.770 0.224
3.260 9.532 0.688
1.087 1.205 0.224
3.260 2.487 2.259
3.260 7.462 1.736
1.087 2.487 2.165


Record 2
PBE Li3PS4, relaxed; mass density = 1.9 g/cm3; symmetry = I-42m (121)
1.0
3.863 -3.994 -0.621
-4.025 -3.722 -1.096
0.256 -2.759 -5.830
Li S P
3 4 1
Cartesian
2.019 -5.306 -3.655
-1.925 -5.170 -3.892
-0.081 -3.858 -0.859
-2.266 -3.524 -2.156
0.143 -4.660 -5.034
2.261 -3.680 -1.883
0.049 -9.089 -6.020
0.000 0.000 0.000


Record 3
PBE K3Cr, relaxed; mass density = 1.4 g/cm3; energy above the most stable polymorph in this dataset = 0.06 eV/f.u.; symmetry = Pm-3m (221)
1.0
5.918 0.000 0.000
0.000 5.918 0.000
0.000 0.000 5.918
Cr K
1 3
Cartesian
0.000 0.000 0.000
0.000 2.959 2.959
2.959 0.000 2.959
2.959 2.959 0.000


Record 4
PBE MgAlVS4, relaxed; mass density = 2.8 g/cm3; symmetry = C2/m (12)
1.0
-0.293 -6.179 3.776
6.134 -3.625 1.493
2.688 -0.248 6.752
S Mg V Al
8 2 2 2
Cartesian
2.133 -5.448 4.887
6.260 -7.454 8.875
3.443 -2.748 6.198
3.528 -5.777 8.202
5.086 -7.304 5.823
6.396 -4.603 7.134
2.269 -2.598 3.146
5.001 -4.275 3.820
1.056 -1.256 1.501
7.472 -8.795 10.521
7.332 -6.838 6.757
5.608 -5.150 9.387
4.264 -5.026 6.011
4.118 -8.115 7.899


Record 5
PBE AlPO6, relaxed; mass density = 2.3 g/cm3; energy above the most stable polymorph in this dataset = 0.00 eV/f.u.; symmetry = P2_1/c (14)
1.0
-2.712 8.643 -3.284
-3.962 -2.273 -2.710
-9.160 -1.324 4.080
Al O P
4 24 4
Cartesian
-11.686 3.029 -1.846
-8.395 0.294 2.374
-7.439 4.752 -4.289
-4.148 2.017 -0.069
-6.230 4.400 -3.011
-9.355 5.809 0.084
-11.390 -0.369 -0.360
-4.213 -0.233 -2.972
-7.178 6.634 -4.470
-11.092 4.635 -1.312
-4.742 0.411 -0.602
-6.920 -0.395 1.393
-3.066 2.582 -1.527
-9.029 -0.143 -1.217
-9.604 0.647 1.097
-5.352 3.143 -1.030
-8.656 -1.588 2.555
-8.460 3.494 0.581
-10.482 1.904 -0.884
-7.375 1.552 -2.496
-4.954 7.582 -2.760
-6.479 -0.763 -1.998
-4.444 5.416 -1.555
-8.914 5.442 -3.307
-12.768 2.464 -0.388
-6.805 5.190 -0.697
-11.621 5.279 1.057
-10.880 -2.536 0.846
-10.106 0.498 -0.331
-10.868 5.671 -0.222
-5.728 4.548 -1.584
-4.966 -0.625 -1.692


Record 6
PBE K2TiOF4, relaxed; mass density = 2.9 g/cm3; symmetry = Pna2_1 (33)
1.0
-3.050 2.332 -6.433
7.060 -8.893 -6.571
-15.063 -13.595 2.215
K Ti F O
32 16 64 16
Cartesian
-4.284 -10.949 -3.306
-3.324 -10.605 -9.322
-1.974 -5.942 -2.674
-9.368 -5.283 -3.337
-6.201 -9.642 -6.285
-3.716 -4.451 -5.677
-5.667 -4.227 -1.455
-13.597 -16.240 -5.304
-4.513 -7.985 -0.950
-11.103 -17.091 -7.984
-8.572 -14.601 -7.046
-5.686 -15.700 -9.967
-1.099 -5.194 -8.334
-7.438 -18.565 -7.845
1.322 -10.079 -5.744
-12.239 -14.539 0.338
0.062 -9.194 -9.181
-0.308 -2.792 -3.558
-10.254 -14.733 -3.088
3.018 -4.279 -4.485
-2.287 -2.608 -0.142
-6.943 -13.027 -1.710
2.574 -6.679 -8.199
-5.151 -13.233 -6.911
-6.835 -16.088 -4.054
-11.874 -10.461 -3.987
-1.211 -15.237 -6.451
-10.609 -11.350 -0.540
-2.782 -8.145 -6.276
-8.514 -21.905 -5.271
-8.086 -9.278 -2.220
-1.971 1.314 -4.320
-13.702 -13.615 -2.986
-9.531 -18.575 -4.868
-4.468 -16.779 -6.595
-1.037 -9.393 -3.161
-9.319 -8.209 -5.574
-6.900 -3.136 -4.859
4.044 -7.608 -4.862
0.444 -6.683 -5.265
-6.248 -6.721 -4.022
-8.665 -11.797 -4.777
-5.935 -19.507 -4.505
-11.812 -13.233 -6.189
-3.411 -14.501 -3.825
-1.854 -1.328 -6.619
-2.066 -11.694 -5.914
-3.767 -1.682 -3.434
-2.567 0.506 -6.856
0.443 -6.634 -9.967
-5.777 -8.525 -3.369
1.138 -4.051 -9.737
-13.020 -15.472 -2.800
-7.704 -12.047 -6.417
-0.771 -11.763 -9.775
-3.634 -5.868 -8.032
2.330 -10.661 -8.235
2.631 -8.782 -10.134
-3.843 -10.821 -5.994
-9.817 -8.750 -0.031
-11.342 -17.922 -5.318
-6.934 -11.341 -3.922
-4.667 -13.023 -10.236
-13.097 -11.824 0.584
-2.987 -3.434 -3.031
-9.871 -6.420 -6.208
-12.061 -13.090 -2.015
-8.639 -3.640 -5.672
-4.761 -8.325 -8.221
-1.444 -6.007 -5.514
-10.961 -8.821 -6.500
3.985 -8.952 -6.204
-1.241 -3.130 -6.572
-8.781 -16.176 -9.264
-9.398 -11.643 -2.966
-10.350 -7.940 -3.996
-1.123 -1.155 -8.448
-9.684 -19.747 -6.459
-0.376 -10.133 -11.878
-3.490 -1.946 -7.550
-2.594 -12.658 -7.558
-6.197 -3.302 -6.676
-12.617 -11.499 -6.602
-2.762 -8.559 -3.134
-9.451 -18.702 -9.759
-7.215 -6.499 -2.301
-6.167 -15.853 -6.876
-9.451 -17.303 -3.454
-1.461 -10.290 -7.175
-11.964 -9.039 -1.624
-8.408 -8.420 -7.321
-8.178 -13.709 -4.356
-14.261 -11.798 -2.946
-11.117 -15.014 -6.047
0.530 -5.499 -3.759
0.964 -5.148 -6.411
-5.135 -7.009 -5.537
0.253 -7.656 -6.950
-4.651 -6.141 -3.010
-14.142 -8.916 -4.154
-2.370 -7.967 -9.329
-3.748 -15.497 -7.927
-13.351 -13.989 -7.189
-5.140 -13.742 -3.613
2.830 -5.848 -10.842
-6.968 -13.584 -8.971
-5.862 -11.184 -8.655
-10.896 -13.166 -7.989
-2.245 -0.963 -2.384
-0.341 -12.493 -6.030
-14.469 -13.861 -1.182
-8.931 -17.164 -6.124
-0.266 -8.117 -4.291
-15.307 -14.238 -3.724
2.236 -7.154 -5.097
-10.293 -12.416 -5.456
-12.774 -13.396 -4.604
-7.775 -7.441 -4.832
4.758 -6.304 -6.001
-1.552 -10.594 -4.491
-6.570 -4.927 -4.477
-8.946 -9.987 -5.127
-5.270 -2.459 -4.229
-2.754 -1.503 -4.988
-2.774 -13.101 -4.893
-3.968 -15.624 -5.225
-7.744 -19.078 -4.629
-5.289 -18.075 -5.518


Number 1: formation energy -1.028 eV/atom, calculated total energy -58.8 eV for the cell shown. Number 2: formation energy -1.175 eV/atom, calculated total energy -35.1 eV for the cell shown. Number 3: formation energy 0.677 eV/atom, calculated total energy -10.3 eV for the cell shown. Number 4: formation energy -1.358 eV/atom, calculated total energy -76.9 eV for the cell shown. Number 5: formation energy -1.858 eV/atom, calculated total energy -198.4 eV for the cell shown. Number 6: formation energy -3.418 eV/atom, calculated total energy -760.5 eV for the cell shown.